[1]
Computed, not measured: an optimized crystal structure of KEuNb2O6 at the GGA-PBE level of DFT.

Values from the calculation:
- Volume: 134.8 Å³ per cell
- Space group: Fm-3m (225)
- Calculated formation energy: -3.035 eV per atom

a b c (Å): 5.7547 5.7547 5.7547
angles (deg): 60.00 60.00 60.00
Fractional coordinates of all 10 atoms:
K: 0.0000 0.0000 0.0000
Eu: 0.5000 0.5000 0.5000
Nb: 0.2500 0.2500 0.2500
Nb: 0.7500 0.7500 0.7500
O: 0.0000 0.0000 0.5000
O: 0.0000 0.5000 0.0000
O: 0.0000 0.5000 0.5000
O: 0.5000 0.0000 0.0000
O: 0.5000 0.0000 0.5000
O: 0.5000 0.5000 0.0000

[2]
Computed, not measured: an optimized crystal structure of KEuNb4O12 at the GGA-PBE level of DFT.

Values from the calculation:
- Volume: 252.9 Å³ per cell
- Space group: Amm2 (38)
- Calculated formation energy: -2.978 eV per atom
- Spin magnetization: 6.02 μB per formula unit

a b c (Å): 7.9911 5.6255 5.6255
angles (deg): 89.54 90.00 90.00
Fractional coordinates of all 18 atoms:
K: 0.0000 0.0000 0.0000
Eu: 0.5000 0.5340 0.5340
Nb: 0.2484 0.0097 0.5029
Nb: 0.2484 0.5029 0.0097
Nb: 0.7516 0.0097 0.5029
Nb: 0.7516 0.5029 0.0097
O: 0.0000 0.0449 0.4919
O: 0.0000 0.4919 0.0449
O: 0.2378 0.7326 0.7326
O: 0.2630 0.2411 0.7895
O: 0.2630 0.7895 0.2411
O: 0.2931 0.3043 0.3043
O: 0.5000 0.5379 0.9722
O: 0.5000 0.9722 0.5379
O: 0.7069 0.3043 0.3043
O: 0.7370 0.2411 0.7895
O: 0.7370 0.7895 0.2411
O: 0.7622 0.7326 0.7326

[3]
Computed, not measured: an optimized crystal structure of KTbEuNbO6 at the GGA-PBE level of DFT.

Values from the calculation:
- Volume: 303.7 Å³ per cell
- Space group: P4_2/mmc (131)
- Calculated formation energy: -3.073 eV per atom
- Offset from the most stable computed form: 0.000 eV per atom
- Spin magnetization: 6.00 μB per formula unit

a b c (Å): 6.0035 6.0035 8.4273
angles (deg): 90.00 90.00 90.00
Fractional coordinates of all 20 atoms:
K: 0.0000 0.0000 0.2500
K: 0.0000 0.0000 0.7500
Tb: 0.0000 0.5000 0.0000
Tb: 0.5000 0.0000 0.5000
Eu: 0.5000 0.5000 0.2500
Eu: 0.5000 0.5000 0.7500
Nb: 0.0000 0.5000 0.5000
Nb: 0.5000 0.0000 0.0000
O: 0.0000 0.5000 0.2636
O: 0.0000 0.5000 0.7364
O: 0.2519 0.2776 0.5000
O: 0.2519 0.7224 0.5000
O: 0.2776 0.2519 0.0000
O: 0.2776 0.7481 0.0000
O: 0.5000 0.0000 0.2364
O: 0.5000 0.0000 0.7636
O: 0.7224 0.2519 0.0000
O: 0.7224 0.7481 0.0000
O: 0.7481 0.2776 0.5000
O: 0.7481 0.7224 0.5000

[4]
Computed, not measured: an optimized crystal structure of KTbEuNbO6 at the GGA-PBE level of DFT.

Values from the calculation:
- Volume: 152.3 Å³ per cell
- Space group: F-43m (216)
- Calculated formation energy: -3.041 eV per atom
- Offset from the most stable computed form: 0.032 eV per atom
- Spin magnetization: 6.00 μB per formula unit

a b c (Å): 5.9946 5.9946 5.9946
angles (deg): 60.00 60.00 60.00
Fractional coordinates of all 10 atoms:
K: 0.0000 0.0000 0.0000
Tb: 0.7500 0.7500 0.7500
Eu: 0.5000 0.5000 0.5000
Nb: 0.2500 0.2500 0.2500
O: 0.0135 0.0135 0.4865
O: 0.0135 0.4865 0.0135
O: 0.0135 0.4865 0.4865
O: 0.4865 0.0135 0.0135
O: 0.4865 0.0135 0.4865
O: 0.4865 0.4865 0.0135

[5]
Computed, not measured: an optimized crystal structure of K2Eu2O3 at the GGA-PBE level of DFT.

Values from the calculation:
- Volume: 316.3 Å³ per cell
- Space group: P2_1/c (14)
- Calculated formation energy: -2.336 eV per atom
- Spin magnetization: 13.86 μB per formula unit

a b c (Å): 7.0385 7.1519 7.0831
angles (deg): 90.00 117.51 90.00
Fractional coordinates of all 14 atoms:
K: 0.1752 0.1471 0.4264
K: 0.1752 0.3529 0.9264
K: 0.8248 0.6471 0.0736
K: 0.8248 0.8529 0.5736
Eu: 0.3296 0.6237 0.5696
Eu: 0.3296 0.8763 0.0696
Eu: 0.6704 0.1237 0.9304
Eu: 0.6704 0.3763 0.4304
O: 0.0000 0.0000 0.0000
O: 0.0000 0.5000 0.5000
O: 0.4013 0.6029 0.2719
O: 0.4013 0.8971 0.7719
O: 0.5987 0.1029 0.2281
O: 0.5987 0.3971 0.7281

[6]
Computed, not measured: an optimized crystal structure of KEuO2 at the GGA-PBE level of DFT.

Values from the calculation:
- Volume: 209.1 Å³ per cell
- Space group: R-3m (166)
- Calculated formation energy: -2.598 eV per atom

a b c (Å): 3.5877 3.5877 18.7545
angles (deg): 90.00 90.00 120.00
Fractional coordinates of all 12 atoms:
K: 0.0000 0.0000 0.0000
K: 0.3333 0.6667 0.6667
K: 0.6667 0.3333 0.3333
Eu: 0.0000 0.0000 0.5000
Eu: 0.3333 0.6667 0.1667
Eu: 0.6667 0.3333 0.8333
O: 0.0000 0.0000 0.2300
O: 0.0000 0.0000 0.7700
O: 0.3333 0.6667 0.4367
O: 0.3333 0.6667 0.8967
O: 0.6667 0.3333 0.1033
O: 0.6667 0.3333 0.5633

[7]
Computed, not measured: an optimized crystal structure of KEuP4O12 at the GGA-PBE level of DFT.

Values from the calculation:
- Volume: 517.1 Å³ per cell
- Space group: P2_1 (4)
- Calculated formation energy: -2.792 eV per atom
- Spin magnetization: 6.00 μB per formula unit

a b c (Å): 7.3796 8.6060 8.1466
angles (deg): 90.00 91.81 90.00
Fractional coordinates of all 36 atoms:
K: 0.2264 0.0000 0.2812
K: 0.7736 0.5000 0.7188
Eu: 0.2646 0.6925 0.7568
Eu: 0.7354 0.1925 0.2432
P: 0.0648 0.0702 0.8998
P: 0.1228 0.4395 0.3958
P: 0.3968 0.2702 0.8939
P: 0.4988 0.0453 0.6191
P: 0.5012 0.5453 0.3809
P: 0.6032 0.7702 0.1061
P: 0.8772 0.9395 0.6042
P: 0.9352 0.5702 0.1002
O: 0.0387 0.2865 0.3497
O: 0.0468 0.5747 0.2720
O: 0.0610 0.6018 0.9619
O: 0.1116 0.4988 0.5676
O: 0.1825 0.9277 0.9244
O: 0.1867 0.2227 0.8694
O: 0.3303 0.9461 0.6139
O: 0.3322 0.4316 0.3439
O: 0.4149 0.4305 0.8236
O: 0.4623 0.2400 0.0684
O: 0.4706 0.6448 0.5289
O: 0.4914 0.6494 0.2169
O: 0.5086 0.1494 0.7831
O: 0.5294 0.1448 0.4711
O: 0.5377 0.7400 0.9316
O: 0.5851 0.9305 0.1764
O: 0.6678 0.9316 0.6561
O: 0.6697 0.4461 0.3861
O: 0.8133 0.7227 0.1306
O: 0.8175 0.4277 0.0756
O: 0.8884 0.9988 0.4324
O: 0.9390 0.1018 0.0381
O: 0.9532 0.0747 0.7280
O: 0.9613 0.7865 0.6503

[8]
Computed, not measured: an optimized crystal structure of KEuP4O12 at the GGA-PBE level of DFT.

Values from the calculation:
- Volume: 1034.4 Å³ per cell
- Space group: P2_1/c (14)
- Calculated formation energy: -2.790 eV per atom
- Spin magnetization: 6.00 μB per formula unit

a b c (Å): 10.6661 9.1722 12.9903
angles (deg): 90.00 125.52 90.00
Fractional coordinates of all 72 atoms:
K: 0.2436 0.0693 0.4585
K: 0.2436 0.4307 0.9585
K: 0.7564 0.5693 0.0415
K: 0.7564 0.9307 0.5415
Eu: 0.1852 0.7264 0.6863
Eu: 0.1852 0.7736 0.1863
Eu: 0.8148 0.2264 0.8137
Eu: 0.8148 0.2736 0.3137
P: 0.1153 0.0952 0.7600
P: 0.1153 0.4048 0.2600
P: 0.1831 0.1711 0.1436
P: 0.1831 0.3289 0.6436
P: 0.3018 0.6017 0.4811
P: 0.3018 0.8983 0.9811
P: 0.4782 0.0261 0.2311
P: 0.4782 0.4739 0.7311
P: 0.5218 0.5261 0.2689
P: 0.5218 0.9739 0.7689
P: 0.6982 0.1017 0.0189
P: 0.6982 0.3983 0.5189
P: 0.8169 0.6711 0.3564
P: 0.8169 0.8289 0.8564
P: 0.8847 0.5952 0.7400
P: 0.8847 0.9048 0.2400
O: 0.0150 0.6783 0.7546
O: 0.0150 0.8217 0.2546
O: 0.0765 0.5343 0.1755
O: 0.0765 0.9657 0.6755
O: 0.0794 0.2372 0.0148
O: 0.0794 0.2628 0.5148
O: 0.1419 0.0332 0.1800
O: 0.1419 0.4668 0.6800
O: 0.1987 0.6556 0.5165
O: 0.1987 0.8444 0.0165
O: 0.2259 0.2080 0.7512
O: 0.2259 0.2920 0.2512
O: 0.2372 0.0517 0.9063
O: 0.2372 0.4483 0.4063
O: 0.3370 0.7045 0.4110
O: 0.3370 0.7955 0.9110
O: 0.3516 0.1566 0.1706
O: 0.3516 0.3434 0.6706
O: 0.3639 0.5922 0.1886
O: 0.3639 0.9078 0.6886
O: 0.4382 0.5851 0.7929
O: 0.4382 0.9149 0.2929
O: 0.4596 0.5416 0.6068
O: 0.4596 0.9584 0.1068
O: 0.5404 0.0416 0.8932
O: 0.5404 0.4584 0.3932
O: 0.5618 0.0851 0.7071
O: 0.5618 0.4149 0.2071
O: 0.6361 0.0922 0.3114
O: 0.6361 0.4078 0.8114
O: 0.6484 0.6566 0.3294
O: 0.6484 0.8434 0.8294
O: 0.6630 0.2045 0.0890
O: 0.6630 0.2955 0.5890
O: 0.7628 0.5517 0.5937
O: 0.7628 0.9483 0.0937
O: 0.7741 0.7080 0.7488
O: 0.7741 0.7920 0.2488
O: 0.8013 0.1556 0.9835
O: 0.8013 0.3444 0.4835
O: 0.8581 0.5332 0.3200
O: 0.8581 0.9668 0.8200
O: 0.9206 0.7372 0.4852
O: 0.9206 0.7628 0.9852
O: 0.9235 0.0343 0.3245
O: 0.9235 0.4657 0.8245
O: 0.9850 0.1783 0.7454
O: 0.9850 0.3217 0.2454

Which formula does entry 5 have?
K2Eu2O3